# 1
# Sr2CaI6 | the Materials Project database | PBE | relaxed
data_Sr2CaI6
_cell_length_a 8.4261
_cell_length_b 7.9211
_cell_length_c 24.2097
_cell_angle_alpha 90.00
_cell_angle_beta 90.87
_cell_angle_gamma 90.00
_space_group_name_H-M_alt 'P 1 21/c 1'
_space_group_IT_number 14
loop_
_space_group_symop_operation_xyz
'x,y,z'
'-x,-y,-z'
'-x,y+1/2,-z+1/2'
'x,-y+1/2,z+1/2'
loop_
_atom_site_label
_atom_site_fract_x
_atom_site_fract_y
_atom_site_fract_z
Sr1 0.1620 0.0168 0.4081
Sr2 0.2694 0.0555 0.7396
Ca1 0.3596 0.5313 0.5862
I1 0.0205 0.7436 0.1921
I2 0.1121 0.2347 0.1353
I3 0.1371 0.7098 0.0243
I4 0.3673 0.2050 0.9831
I5 0.3947 0.7053 0.3441
I6 0.4808 0.2006 0.3268
# Crystal system: monoclinic
# Offset from the most stable computed form (meV per atom): 26
# Mass density (Mg/m³): 4.015
# Calculated formation energy (meV per atom): -1893



# 2
# Ho12Al7Si | the Materials Project database | PBE | relaxed
data_Ho12Al7Si
_cell_length_a 11.6155
_cell_length_b 11.6155
_cell_length_c 15.1785
_cell_angle_alpha 90.00
_cell_angle_beta 90.00
_cell_angle_gamma 90.00
_space_group_name_H-M_alt 'I 4/m c m'
_space_group_IT_number 140
_space_group_name_Hall '-I 4 2c'
loop_
_atom_site_label
_atom_site_fract_x
_atom_site_fract_y
_atom_site_fract_z
Ho1 0.0000 0.5000 0.1475
Ho2 0.0645 0.2007 0.1362
Ho3 0.1700 0.3300 0.5000
Al1 0.0000 0.0000 0.0000
Al2 0.1179 0.3821 0.0000
Al3 0.1782 0.3218 0.2966
Si1 0.0000 0.0000 0.2500
# Crystal system: tetragonal
# Mass density (Mg/m³): 7.123
# Calculated formation energy (meV per atom): -377